Record 1
Compound: Ca8Al3
Source: Materials Project
Functional: r2SCAN
Structure: optimized geometry

Computed properties:
The value obtained for the formation enthalpy at 0 K is -176 meV/atom. The value obtained for the density is 1.880 Mg/m³.

a b c (Å): 9.4708 9.5545 9.6236
angles (deg): 99.08 100.97 119.70
With the nearest neighbours (Å) after each atom.
Fractional positions:
Ca: 0.5319 0.7010 0.6500  4 Al 3.25-3.52, 2 Ca 3.43-3.61
Ca: 0.4681 0.2990 0.3500  4 Al 3.25-3.52, 2 Ca 3.43-3.61
Ca: 0.0793 0.2307 0.1062  2 Al 3.14-3.27
Ca: 0.9207 0.7693 0.8938  2 Al 3.14-3.27
Ca: 0.8791 0.4012 0.6495  3 Al 3.17-3.51, 1 Ca 3.44
Ca: 0.1209 0.5988 0.3505  3 Al 3.17-3.51, 1 Ca 3.44
Ca: 0.3325 0.8776 0.1094  3 Al 3.20-3.54, 3 Ca 3.53-3.58
Ca: 0.6675 0.1224 0.8906  3 Al 3.20-3.54, 3 Ca 3.53-3.58
Ca: 0.9597 0.0610 0.6696  3 Al 3.32-3.66, 4 Ca 3.64-3.71
Ca: 0.0403 0.9390 0.3304  3 Al 3.32-3.66, 4 Ca 3.64-3.71
Ca: 0.7020 0.4985 0.1097  3 Al 3.19-3.54, 1 Ca 3.53
Ca: 0.2980 0.5015 0.8903  3 Al 3.19-3.54, 1 Ca 3.53
Ca: 0.7748 0.1527 0.3002  3 Al 3.24-3.41, 3 Ca 3.44-3.57
Ca: 0.2252 0.8473 0.6998  3 Al 3.24-3.41, 3 Ca 3.44-3.57
Ca: 0.5458 0.7122 0.2982  3 Al 3.26-3.37, 3 Ca 3.43-3.54
Ca: 0.4542 0.2878 0.7018  3 Al 3.26-3.37, 3 Ca 3.43-3.54
Al: 0.0000 0.5000 0.0000  8 Ca 3.17-3.27
Al: 0.5000 0.0000 0.5000  10 Ca 3.37-3.54
Al: 0.1729 0.3371 0.5003  10 Ca 3.25-3.62
Al: 0.8271 0.6629 0.4997  10 Ca 3.25-3.62
Al: 0.6760 0.8407 0.0265  6 Ca 3.14-3.40
Al: 0.3240 0.1593 0.9735  6 Ca 3.14-3.40

Record 2
Compound: CaAl2
Source: Materials Project
Functional: r2SCAN
Structure: optimized geometry

Computed properties:
The value obtained for the formation enthalpy at 0 K is -355 meV/atom. The value obtained for the density is 2.450 Mg/m³.

a b c (Å): 5.6494 5.6494 5.6494
angles (deg): 60.00 60.00 60.00
With the nearest neighbours (Å) after each atom.
Fractional positions:
Ca: 0.3750 0.3750 0.3750  12 Al 3.31, 4 Ca 3.46
Ca: 0.6250 0.6250 0.6250  12 Al 3.31, 4 Ca 3.46
Al: 0.0000 0.0000 0.0000  6 Al 2.82
Al: 0.0000 0.0000 0.5000  6 Al 2.82
Al: 0.5000 0.0000 0.0000  6 Al 2.82
Al: 0.0000 0.5000 0.0000  6 Al 2.82

Record 3
Compound: Ca13Al14
Source: Materials Project
Functional: r2SCAN
Structure: optimized geometry

Computed properties:
The value obtained for the formation enthalpy at 0 K is -290 meV/atom. The value obtained for the density is 2.136 Mg/m³.

a b c (Å): 9.1560 9.1560 9.6913
angles (deg): 74.68 74.68 64.87
With the nearest neighbours (Å) after each atom.
Fractional positions:
Ca: 0.9439 0.3491 0.6337  8 Al 3.20-3.57, 2 Ca 3.55
Ca: 0.3491 0.9439 0.6337  8 Al 3.20-3.57, 2 Ca 3.55
Ca: 0.0561 0.6509 0.3663  8 Al 3.20-3.57, 2 Ca 3.55
Ca: 0.6509 0.0561 0.3663  8 Al 3.20-3.57, 2 Ca 3.55
Ca: 0.0805 0.6439 0.7731  7 Al 3.13-3.51
Ca: 0.6439 0.0805 0.7731  7 Al 3.13-3.51
Ca: 0.9195 0.3561 0.2269  7 Al 3.13-3.51
Ca: 0.3561 0.9195 0.2269  7 Al 3.13-3.51
Ca: 0.1956 0.1956 0.9161  5 Al 3.21-3.43, 2 Ca 3.58
Ca: 0.8044 0.8044 0.0839  5 Al 3.21-3.43, 2 Ca 3.58
Ca: 0.5036 0.5036 0.7972  10 Al 3.23-3.60, 2 Ca 3.58
Ca: 0.4964 0.4964 0.2028  10 Al 3.23-3.60, 2 Ca 3.58
Ca: 0.0000 0.0000 0.5000  4 Al 3.34-3.49, 8 Ca 3.55
Al: 0.7923 0.5237 0.9166  3 Al 2.64-2.77
Al: 0.5237 0.7923 0.9166  3 Al 2.64-2.77
Al: 0.2077 0.4763 0.0834  3 Al 2.64-2.77
Al: 0.4763 0.2077 0.0834  3 Al 2.64-2.77
Al: 0.0019 0.0019 0.8436  2 Al 2.68
Al: 0.9981 0.9981 0.1564  2 Al 2.68
Al: 0.2598 0.2598 0.3428  3 Al 2.77-2.83
Al: 0.7402 0.7402 0.6572  3 Al 2.77-2.83
Al: 0.3406 0.3406 0.5674  3 Al 2.74-2.83
Al: 0.6594 0.6594 0.4326  3 Al 2.74-2.83
Al: 0.6445 0.3555 0.5000  3 Al 2.74-2.84
Al: 0.3555 0.6445 0.5000  3 Al 2.74-2.84
Al: 0.7748 0.2252 0.0000  4 Al 2.68-2.70
Al: 0.2252 0.7748 0.0000  4 Al 2.68-2.70

Record 4
Compound: CaAl2Cl8
Source: Materials Project
Functional: r2SCAN
Structure: optimized geometry

Computed properties:
The value obtained for the formation enthalpy at 0 K is -1972 meV/atom. The value obtained for the density is 1.947 Mg/m³.

a b c (Å): 12.7160 12.7159 12.7160
angles (deg): 126.39 126.39 79.24
With the nearest neighbours (Å) after each atom.
Fractional positions:
Ca: 0.0000 0.0000 0.0000  8 Cl 2.81-3.12
Ca: 0.7500 0.2500 0.5000  8 Cl 2.81-3.12
Ca: 0.2500 0.7500 0.5000  8 Cl 2.81-3.12
Ca: 0.5000 0.5000 0.0000  8 Cl 2.81-3.12
Al: 0.6005 0.8750 0.2255  4 Cl 2.13-2.15
Al: 0.1250 0.8505 0.2255  4 Cl 2.13-2.15
Al: 0.1250 0.3505 0.7255  4 Cl 2.13-2.15
Al: 0.6495 0.3750 0.7745  4 Cl 2.13-2.15
Al: 0.6250 0.8995 0.7745  4 Cl 2.13-2.15
Al: 0.1005 0.8750 0.7255  4 Cl 2.13-2.15
Al: 0.1495 0.3750 0.2745  4 Cl 2.13-2.15
Al: 0.6250 0.3995 0.2745  4 Cl 2.13-2.15
Cl: 0.5651 0.2030 0.1949  1 Al 2.15
Cl: 0.1202 0.8151 0.8621  1 Al 2.15
Cl: 0.7418 0.8798 0.6949  1 Al 2.15
Cl: 0.2552 0.2240 0.2182  1 Al 2.13
Cl: 0.7552 0.5370 0.0312  1 Al 2.13
Cl: 0.7870 0.5052 0.5312  1 Al 2.13
Cl: 0.1849 0.0470 0.3051  1 Al 2.15
Cl: 0.9530 0.2582 0.1379  1 Al 2.15
Cl: 0.5082 0.7030 0.6379  1 Al 2.15
Cl: 0.2760 0.2448 0.7818  1 Al 2.13
Cl: 0.0058 0.0370 0.7818  1 Al 2.13
Cl: 0.9948 0.7130 0.4688  1 Al 2.13
Cl: 0.9630 0.7448 0.9688  1 Al 2.13
Cl: 0.1298 0.4918 0.1949  1 Al 2.15
Cl: 0.2418 0.5470 0.8621  1 Al 2.15
Cl: 0.6202 0.7582 0.3051  1 Al 2.15
Cl: 0.7442 0.2130 0.7182  1 Al 2.13
Cl: 0.2970 0.9349 0.8051  1 Al 2.15
Cl: 0.4530 0.3151 0.6949  1 Al 2.15
Cl: 0.0082 0.3702 0.8051  1 Al 2.15
Cl: 0.2870 0.7558 0.2818  1 Al 2.13
Cl: 0.4630 0.4942 0.2182  1 Al 2.13
Cl: 0.6298 0.4349 0.6379  1 Al 2.15
Cl: 0.6849 0.3798 0.1379  1 Al 2.15
Cl: 0.2442 0.5260 0.5312  1 Al 2.13
Cl: 0.4948 0.0260 0.2818  1 Al 2.13
Cl: 0.0651 0.8702 0.3621  1 Al 2.15
Cl: 0.4740 0.0052 0.7182  1 Al 2.13
Cl: 0.5058 0.7240 0.9688  1 Al 2.13
Cl: 0.9740 0.2558 0.4688  1 Al 2.13
Cl: 0.7970 0.9918 0.3621  1 Al 2.15
Cl: 0.7760 0.9942 0.0312  1 Al 2.13

Record 5
Compound: CaAl9Co2
Source: Materials Project
Functional: r2SCAN
Structure: optimized geometry

Computed properties:
The value obtained for the formation enthalpy at 0 K is -381 meV/atom. The value obtained for the density is 3.268 Mg/m³.

a b c (Å): 7.8208 7.8208 3.8449
angles (deg): 90.00 90.00 120.00
With the nearest neighbours (Å) after each atom.
Fractional positions:
Ca: 0.0000 0.0000 0.0000  12 Al 3.47, 2 Ca 3.84
Al: 0.5000 0.0000 0.0000  2 Co 2.26
Al: 0.5000 0.5000 0.0000  2 Co 2.26
Al: 0.0000 0.5000 0.0000  2 Co 2.26
Al: 0.2134 0.4268 0.5000  2 Co 2.52, 6 Al 2.79-2.81
Al: 0.7866 0.2134 0.5000  2 Co 2.52, 6 Al 2.79-2.81
Al: 0.4268 0.2134 0.5000  2 Co 2.52, 6 Al 2.79-2.81
Al: 0.5732 0.7866 0.5000  2 Co 2.52, 6 Al 2.79-2.81
Al: 0.2134 0.7866 0.5000  2 Co 2.52, 6 Al 2.79-2.81
Al: 0.7866 0.5732 0.5000  2 Co 2.52, 6 Al 2.79-2.81
Co: 0.3333 0.6667 0.0000  9 Al 2.26-2.52
Co: 0.6667 0.3333 0.0000  9 Al 2.26-2.52

Record 6
Compound: Ca4Al51Cr7
Source: Materials Project
Functional: r2SCAN
Structure: optimized geometry

Computed properties:
The value obtained for the formation enthalpy at 0 K is -146 meV/atom. The value obtained for the density is 3.096 Mg/m³.

a b c (Å): 10.1756 10.1756 11.3667
angles (deg): 90.00 90.00 120.00
With the nearest neighbours (Å) after each atom.
Fractional positions:
Ca: 0.3333 0.6667 0.5849  15 Al 3.12-3.40
Ca: 0.3333 0.6667 0.9025  15 Al 3.14-3.23
Ca: 0.6667 0.3333 0.4151  15 Al 3.12-3.40
Ca: 0.6667 0.3333 0.0976  15 Al 3.14-3.23
Al: 0.5778 0.4222 0.6524  2 Cr 2.51, 8 Al 2.63-2.80
Al: 0.5778 0.1557 0.6524  2 Cr 2.51, 8 Al 2.63-2.80
Al: 0.8443 0.4222 0.6524  2 Cr 2.51, 8 Al 2.63-2.80
Al: 0.0905 0.9095 0.1726  2 Cr 2.41-2.53, 1 Al 2.69
Al: 0.0905 0.1810 0.1726  2 Cr 2.41-2.53, 1 Al 2.69
Al: 0.8190 0.9095 0.1726  2 Cr 2.41-2.53, 1 Al 2.69
Al: 0.8465 0.1535 0.0442  8 Al 2.65-2.89, 1 Cr 2.75
Al: 0.8465 0.6930 0.0442  8 Al 2.65-2.89, 1 Cr 2.75
Al: 0.3070 0.1535 0.0442  8 Al 2.65-2.89, 1 Cr 2.75
Al: 0.2422 0.7578 0.1443  1 Cr 2.63, 6 Al 2.65-2.80
Al: 0.2422 0.4844 0.1443  1 Cr 2.63, 6 Al 2.65-2.80
Al: 0.5156 0.7578 0.1443  1 Cr 2.63, 6 Al 2.65-2.80
Al: 0.0916 0.9084 0.6028  2 Cr 2.65, 8 Al 2.67-2.88
Al: 0.0916 0.1832 0.6028  2 Cr 2.65, 8 Al 2.67-2.88
Al: 0.8168 0.9084 0.6028  2 Cr 2.65, 8 Al 2.67-2.88
Al: 0.1535 0.8465 0.9558  8 Al 2.65-2.89, 1 Cr 2.75
Al: 0.1535 0.3070 0.9558  8 Al 2.65-2.89, 1 Cr 2.75
Al: 0.6930 0.8465 0.9558  8 Al 2.65-2.89, 1 Cr 2.75
Al: 0.7578 0.2422 0.8557  1 Cr 2.63, 6 Al 2.65-2.80
Al: 0.7578 0.5156 0.8557  1 Cr 2.63, 6 Al 2.65-2.80
Al: 0.4844 0.2422 0.8557  1 Cr 2.63, 6 Al 2.65-2.80
Al: 0.4222 0.5778 0.3476  2 Cr 2.51, 8 Al 2.63-2.80
Al: 0.4222 0.8443 0.3476  2 Cr 2.51, 8 Al 2.63-2.80
Al: 0.1557 0.5778 0.3476  2 Cr 2.51, 8 Al 2.63-2.80
Al: 0.5000 0.5000 0.0000  12 Al 3.03-3.17, 2 Ca 3.14
Al: 0.5000 0.0000 0.0000  12 Al 3.03-3.17, 2 Ca 3.14
Al: 0.0000 0.5000 0.0000  12 Al 3.03-3.17, 2 Ca 3.14
Al: 0.9095 0.0905 0.8274  2 Cr 2.41-2.53, 1 Al 2.69
Al: 0.9095 0.8190 0.8274  2 Cr 2.41-2.53, 1 Al 2.69
Al: 0.1810 0.0905 0.8274  2 Cr 2.41-2.53, 1 Al 2.69
Al: 0.9084 0.0916 0.3972  2 Cr 2.65, 8 Al 2.67-2.88
Al: 0.9084 0.8168 0.3972  2 Cr 2.65, 8 Al 2.67-2.88
Al: 0.1832 0.0916 0.3972  2 Cr 2.65, 8 Al 2.67-2.88
Al: 0.6399 0.0000 0.5000  2 Cr 2.54, 4 Al 2.63-2.67
Al: 0.0000 0.6400 0.5000  2 Cr 2.54, 4 Al 2.63-2.67
Al: 0.3600 0.3600 0.5000  2 Cr 2.54, 4 Al 2.63-2.67
Al: 0.3600 0.0000 0.5000  2 Cr 2.54, 4 Al 2.63-2.67
Al: 0.6399 0.6400 0.5000  2 Cr 2.54, 4 Al 2.63-2.67
Al: 0.0000 0.3601 0.5000  2 Cr 2.54, 4 Al 2.63-2.67
Al: 0.3301 0.3958 0.7551  1 Cr 2.61, 6 Al 2.67-2.88
Al: 0.6042 0.9343 0.7551  1 Cr 2.61, 6 Al 2.67-2.88
Al: 0.0657 0.6699 0.7551  1 Cr 2.61, 6 Al 2.67-2.88
Al: 0.0657 0.3958 0.7551  1 Cr 2.61, 6 Al 2.67-2.88
Al: 0.3301 0.9343 0.7551  1 Cr 2.61, 6 Al 2.67-2.88
Al: 0.6042 0.6699 0.7551  1 Cr 2.61, 6 Al 2.67-2.88
Al: 0.9342 0.3301 0.2449  1 Cr 2.61, 6 Al 2.67-2.88
Al: 0.6699 0.6042 0.2449  1 Cr 2.61, 6 Al 2.67-2.88
Al: 0.3958 0.0657 0.2449  1 Cr 2.61, 6 Al 2.67-2.88
Al: 0.3958 0.3301 0.2449  1 Cr 2.61, 6 Al 2.67-2.88
Al: 0.9343 0.6042 0.2449  1 Cr 2.61, 6 Al 2.67-2.88
Al: 0.6699 0.0658 0.2449  1 Cr 2.61, 6 Al 2.67-2.88
Cr: 0.0000 0.0000 0.0000  12 Al 2.53-2.75
Cr: 0.1693 0.8307 0.3458  10 Al 2.41-2.65
Cr: 0.1693 0.3386 0.3458  10 Al 2.41-2.65
Cr: 0.6614 0.8307 0.3458  10 Al 2.41-2.65
Cr: 0.8307 0.1693 0.6542  10 Al 2.41-2.65
Cr: 0.8307 0.6614 0.6542  10 Al 2.41-2.65
Cr: 0.3386 0.1693 0.6542  10 Al 2.41-2.65

Record 7
Compound: CaAl8Cu4
Source: Materials Project
Functional: r2SCAN
Structure: optimized geometry

Computed properties:
The value obtained for the formation enthalpy at 0 K is -291 meV/atom. The value obtained for the density is 4.324 Mg/m³.

a b c (Å): 5.0988 6.7022 6.7016
angles (deg): 81.68 67.65 67.64
With the nearest neighbours (Å) after each atom.
Fractional positions:
Ca: 0.0000 0.0000 0.0000  12 Al 3.05-3.20, 8 Cu 3.35
Al: 0.3485 0.6516 0.6516  5 Al 2.66-2.78, 4 Cu 2.68
Al: 0.0001 0.3484 0.6516  5 Al 2.66-2.78, 4 Cu 2.68
Al: 0.9999 0.6516 0.3484  5 Al 2.66-2.78, 4 Cu 2.68
Al: 0.6515 0.3484 0.3484  5 Al 2.66-2.78, 4 Cu 2.68
Al: 0.2790 0.2211 0.2210  4 Cu 2.55, 6 Al 2.74-2.78
Al: 0.5001 0.7789 0.2210  4 Cu 2.55, 6 Al 2.74-2.78
Al: 0.4999 0.2211 0.7790  4 Cu 2.55, 6 Al 2.74-2.78
Al: 0.7210 0.7789 0.7790  4 Cu 2.55, 6 Al 2.74-2.78
Cu: 0.5000 0.0000 0.5000  8 Al 2.55-2.68, 2 Cu 2.55
Cu: 0.0000 0.5000 0.0000  8 Al 2.55-2.68, 2 Cu 2.55
Cu: 0.5000 0.5000 0.0000  8 Al 2.55-2.68, 2 Cu 2.55
Cu: 0.0000 0.0000 0.5000  8 Al 2.55-2.68, 2 Cu 2.55

Record 8
Compound: Ca2AlF7
Source: Materials Project
Functional: r2SCAN
Structure: optimized geometry

Computed properties:
The value obtained for the formation enthalpy at 0 K is -4076 meV/atom. The value obtained for the density is 3.118 Mg/m³.

a b c (Å): 6.9891 7.6751 9.5371
angles (deg): 90.00 90.00 90.00
With the nearest neighbours (Å) after each atom.
Fractional positions:
Ca: 0.2500 0.3024 0.6069  7 F 2.26-2.40
Ca: 0.7500 0.6976 0.3931  7 F 2.26-2.40
Ca: 0.2500 0.8024 0.8931  7 F 2.26-2.40
Ca: 0.7500 0.1976 0.1069  7 F 2.26-2.40
Ca: 0.2500 0.6150 0.2416  7 F 2.24-2.38
Ca: 0.7500 0.3850 0.7584  7 F 2.24-2.38
Ca: 0.2500 0.1150 0.2584  7 F 2.24-2.38
Ca: 0.7500 0.8850 0.7416  7 F 2.24-2.38
Al: 0.2500 0.8112 0.5565  6 F 1.78-1.82
Al: 0.7500 0.1888 0.4435  6 F 1.78-1.82
Al: 0.2500 0.3112 0.9435  6 F 1.78-1.82
Al: 0.7500 0.6888 0.0565  6 F 1.78-1.82
F: 0.9288 0.1300 0.3148  1 Al 1.81
F: 0.4288 0.8700 0.6852  1 Al 1.81
F: 0.5712 0.6300 0.1852  1 Al 1.81
F: 0.0712 0.3700 0.8148  1 Al 1.81
F: 0.0712 0.8700 0.6852  1 Al 1.81
F: 0.5712 0.1300 0.3148  1 Al 1.81
F: 0.4288 0.3700 0.8148  1 Al 1.81
F: 0.9288 0.6300 0.1852  1 Al 1.81
F: 0.9262 0.2487 0.5752  1 Al 1.82
F: 0.4262 0.7513 0.4248  1 Al 1.82
F: 0.5738 0.7487 0.9248  1 Al 1.82
F: 0.0738 0.2513 0.0752  1 Al 1.82
F: 0.7500 0.6269 0.6275  3 Ca 2.24-2.30
F: 0.2500 0.3731 0.3725  3 Ca 2.24-2.30
F: 0.7500 0.1269 0.8725  3 Ca 2.24-2.30
F: 0.2500 0.8731 0.1275  3 Ca 2.24-2.30
F: 0.7500 0.9676 0.5085  1 Al 1.81
F: 0.2500 0.0324 0.4915  1 Al 1.81
F: 0.7500 0.4676 0.9915  1 Al 1.81
F: 0.2500 0.5324 0.0085  1 Al 1.81
F: 0.7500 0.9038 0.1268  1 Al 1.78
F: 0.2500 0.0962 0.8732  1 Al 1.78
F: 0.7500 0.4038 0.3732  1 Al 1.78
F: 0.2500 0.5962 0.6268  1 Al 1.78
F: 0.9262 0.7487 0.9248  1 Al 1.82
F: 0.4262 0.2513 0.0752  1 Al 1.82
F: 0.5738 0.2487 0.5752  1 Al 1.82
F: 0.0738 0.7513 0.4248  1 Al 1.82